(1)
Material: Li4MnP2O9
Method: DFT, PBE+U
State: optimized geometry

Cell lengths 6.754, 14.604, 14.210 Å; angles 90.00, 90.00, 90.00 degrees
Space group Pbca (No. 61)
Unique sites:
Li1 0.000 0.128 0.132
Li2 0.183 0.226 0.528
Li3 0.222 0.504 0.997
Li4 0.246 0.027 0.747
Mn1 0.248 0.735 0.752
P1 0.001 0.114 0.896
P2 0.003 0.117 0.360
O1 0.001 0.671 0.512
O2 0.002 0.510 0.589
O3 0.003 0.244 0.700
O4 0.005 0.042 0.284
O5 0.008 0.083 0.462
O6 0.189 0.133 0.835
O7 0.192 0.676 0.150
O8 0.193 0.179 0.351
O9 0.193 0.637 0.661

Its energy of formation from the pure elements is -2.506 eV per atom. The calculation puts the polymorph energy (0 for the lowest one) at 42 meV per atom. The calculated total energy comes out at -0.4796 Ry/atom.

***

(2)
Material: MgFe6O6F6
Method: DFT, PBE+U
State: optimized geometry

Cell lengths 3.037, 5.148, 14.537 Å; angles 98.30, 90.02, 90.00 degrees
Space group P1 (No. 1)
Unique sites:
Mg1 0.000 0.000 0.000
Fe1 0.005 0.013 0.514
Fe2 0.005 0.019 0.195
Fe3 0.005 0.140 0.818
Fe4 0.501 0.500 0.020
Fe5 0.505 0.522 0.670
Fe6 0.506 0.530 0.349
O1 0.005 0.412 0.736
O2 0.501 0.154 0.931
O3 0.502 0.868 0.100
O4 0.505 0.202 0.258
O5 0.505 0.222 0.569
O6 0.505 0.837 0.436
F1 0.000 0.645 0.939
F2 0.002 0.320 0.098
F3 0.005 0.692 0.270
F4 0.006 0.369 0.409
F5 0.006 0.721 0.599
F6 0.505 0.886 0.753

Its energy of formation from the pure elements is -2.101 eV per atom. The calculation puts the polymorph energy (0 for the lowest one) at 43 meV per atom. The calculated total energy comes out at -0.4374 Ry/atom.

***

(3)
Material: Nd3VGeO9
Method: DFT, PBE+U
State: optimized geometry

Cell lengths 7.138, 12.616, 9.942 Å; angles 90.00, 115.44, 90.00 degrees
Space group P2_1/c (No. 14)
Unique sites:
Nd1 0.049 0.131 0.379
Nd2 0.367 0.607 0.873
Nd3 0.397 0.136 0.156
V1 0.219 0.663 0.521
Ge1 0.192 0.101 0.742
O1 0.026 0.159 0.129
O2 0.064 0.575 0.908
O3 0.174 0.172 0.888
O4 0.243 0.749 0.165
O5 0.280 0.532 0.277
O6 0.288 0.544 0.619
O7 0.313 0.169 0.641
O8 0.380 0.080 0.384
O9 0.398 0.711 0.463

Its energy of formation from the pure elements is -3.216 eV per atom. The calculated total energy comes out at -0.5759 Ry/atom.

***

(4)
Material: Li4V3P8O29
Method: DFT, PBE+U
State: optimized geometry

Cell lengths 9.766, 9.772, 14.143 Å; angles 89.82, 89.49, 60.16 degrees
Space group P1 (No. 1)
Unique sites:
Li1 0.000 0.000 0.000
Li2 0.015 0.855 0.497
Li3 0.350 0.320 0.616
Li4 0.372 0.176 0.123
Li5 0.587 0.418 0.502
Li6 0.694 0.045 0.556
Li7 0.767 0.314 0.119
Li8 0.912 0.765 0.120
V1 0.116 0.096 0.802
V2 0.117 0.655 0.308
V3 0.251 0.523 0.815
V4 0.253 0.085 0.315
V5 0.682 0.527 0.313
V6 0.683 0.655 0.808
P1 0.000 0.860 0.718
P2 0.004 0.003 0.216
P3 0.016 0.420 0.192
P4 0.018 0.426 0.689
P5 0.347 0.762 0.928
P6 0.350 0.753 0.430
P7 0.364 0.175 0.905
P8 0.366 0.319 0.402
P9 0.456 0.405 0.221
P10 0.465 0.003 0.722
P11 0.596 0.401 0.718
P12 0.599 0.859 0.219
P13 0.767 0.783 0.403
P14 0.771 0.317 0.900
P15 0.904 0.172 0.400
P16 0.909 0.771 0.899
O1 0.000 0.421 0.087
O2 0.011 0.576 0.227
O3 0.014 0.277 0.735
O4 0.021 0.837 0.218
O5 0.022 0.416 0.585
O6 0.034 0.998 0.729
O7 0.061 0.171 0.393
O8 0.062 0.610 0.882
O9 0.154 0.702 0.733
O10 0.163 0.993 0.239
O11 0.167 0.274 0.231
O12 0.172 0.418 0.729
O13 0.195 0.764 0.392
O14 0.199 0.910 0.888
O15 0.205 0.184 0.880
O16 0.211 0.472 0.389
O17 0.303 0.007 0.729
O18 0.304 0.565 0.238
O19 0.338 0.345 0.891
O20 0.340 0.614 0.882
O21 0.341 0.176 0.393
O22 0.345 0.753 0.033
O23 0.361 0.893 0.388
O24 0.362 0.733 0.535
O25 0.423 0.430 0.725
O26 0.428 0.104 0.997
O27 0.432 0.004 0.220
O28 0.450 0.318 0.137
O29 0.452 0.312 0.492
O30 0.477 0.095 0.641
O31 0.482 0.302 0.316
O32 0.483 0.076 0.820
O33 0.497 0.595 0.386
O34 0.498 0.751 0.881
O35 0.589 0.707 0.241
O36 0.596 0.558 0.733
O37 0.599 0.829 0.724
O38 0.602 0.430 0.221
O39 0.669 0.318 0.628
O40 0.682 0.295 0.810
O41 0.683 0.883 0.310
O42 0.690 0.877 0.489
O43 0.693 0.322 0.991
O44 0.694 0.842 0.133
O45 0.762 0.346 0.399
O46 0.763 0.626 0.391
O47 0.766 0.746 0.895
O48 0.778 0.470 0.879
O49 0.866 0.421 0.240
O50 0.871 0.573 0.734
O51 0.883 0.081 0.478
O52 0.883 0.100 0.300
O53 0.889 0.880 0.809
O54 0.917 0.874 0.627
O55 0.923 0.847 0.988
O56 0.933 0.089 0.126
O57 0.941 0.170 0.894
O58 0.941 0.746 0.395

Its energy of formation from the pure elements is -2.572 eV per atom. The calculation puts the polymorph energy (0 for the lowest one) at 11 meV per atom. The calculated total energy comes out at -0.5176 Ry/atom.

***

(5)
Material: Li2TiVO4
Method: DFT, PBE+U
State: optimized geometry

Cell lengths 5.847, 5.847, 17.140 Å; angles 90.00, 90.00, 90.00 degrees
Space group I-42m (No. 121)
Unique sites:
Li1 0.000 0.000 0.249
Li2 0.000 0.500 0.000
Li3 0.249 0.249 0.875
Ti1 0.248 0.248 0.628
V1 0.000 0.000 0.000
V2 0.000 0.000 0.500
V3 0.000 0.500 0.250
O1 0.000 0.000 0.123
O2 0.000 0.000 0.376
O3 0.000 0.500 0.126
O4 0.244 0.244 0.009
O5 0.249 0.249 0.243

Its energy of formation from the pure elements is -2.744 eV per atom. The calculation puts the polymorph energy (0 for the lowest one) at 8 meV per atom. The calculated total energy comes out at -0.5337 Ry/atom.

***

(6)
Material: BaNaSmWO6
Method: DFT, PBE+U
State: optimized geometry

Cell lengths 8.517, 8.517, 8.517 Å; angles 90.00, 90.00, 90.00 degrees
Space group F-43m (No. 216)
Unique sites:
Ba1 0.000 0.000 0.000
Na1 0.000 0.000 0.500
Sm1 0.250 0.250 0.250
W1 0.250 0.250 0.750
O1 0.020 0.250 0.750

Its energy of formation from the pure elements is -2.874 eV per atom. The calculation puts the polymorph energy (0 for the lowest one) at 7 meV per atom. The calculated total energy comes out at -0.5203 Ry/atom.

***

(7)
Material: Li3V2P3O12
Method: DFT, PBE+U
State: optimized geometry

Cell lengths 8.561, 8.791, 14.723 Å; angles 90.00, 124.92, 90.00 degrees
Space group P2_1/c (No. 14)
Unique sites:
Li1 0.002 0.220 0.322
Li2 0.281 0.512 0.846
Li3 0.389 0.587 0.309
V1 0.136 0.534 0.391
V2 0.350 0.528 0.105
P1 0.033 0.111 0.647
P2 0.265 0.617 0.652
P3 0.452 0.249 0.991
O1 0.016 0.231 0.187
O2 0.118 0.506 0.245
O3 0.131 0.578 0.689
O4 0.155 0.110 0.602
O5 0.168 0.579 0.530
O6 0.175 0.550 0.939
O7 0.249 0.177 0.934
O8 0.291 0.706 0.169
O9 0.393 0.628 0.445
O10 0.455 0.529 0.725
O11 0.456 0.166 0.400
O12 0.485 0.140 0.582

Its energy of formation from the pure elements is -2.725 eV per atom. The calculation puts the polymorph energy (0 for the lowest one) at 3 meV per atom. The calculated total energy comes out at -0.5232 Ry/atom.